Entry 1:
A relaxed structure of Ti3Zn3As4O16. Source: the Materials Project database, functional GGA-PBE.

Properties
Energy of formation from the pure elements = -2.154 eV/atom
SG = P2_1/c, No. 14
Energy = -6.5493 eV per atom

The structure in POSCAR format:
```
Ti3Zn3As4O16
1.0
-0.938 0.176 4.845
8.155 -2.282 1.662
7.920 14.189 1.017
O Zn As Ti
32 6 8 6
direct
0.169 0.410 0.804
0.798 0.512 0.387
0.348 0.770 0.275
0.162 0.895 0.926
0.202 0.488 0.613
0.652 0.230 0.725
0.338 0.895 0.426
0.210 0.295 0.506
0.290 0.295 0.006
0.838 0.105 0.074
0.152 0.770 0.775
0.195 0.578 0.927
0.831 0.590 0.196
0.200 0.080 0.677
0.662 0.105 0.574
0.805 0.422 0.073
0.790 0.705 0.494
0.710 0.705 0.994
0.835 0.183 0.894
0.848 0.230 0.225
0.695 0.422 0.573
0.800 0.920 0.323
0.700 0.920 0.823
0.335 0.817 0.606
0.300 0.080 0.177
0.305 0.578 0.427
0.702 0.512 0.887
0.298 0.488 0.113
0.665 0.183 0.394
0.331 0.410 0.304
0.165 0.817 0.106
0.669 0.590 0.696
0.927 0.402 0.708
0.427 0.598 0.792
0.573 0.402 0.208
0.073 0.598 0.292
0.500 0.000 0.500
0.000 0.000 0.000
0.058 0.890 0.671
0.942 0.110 0.329
0.492 0.378 0.405
0.558 0.110 0.829
0.508 0.622 0.595
0.008 0.378 0.905
0.992 0.622 0.095
0.442 0.890 0.171
0.500 0.500 0.000
0.000 0.500 0.500
0.448 0.227 0.615
0.948 0.773 0.885
0.552 0.773 0.385
0.052 0.227 0.115
```

Entry 2:
A relaxed structure of TlAsO4. Source: the Materials Project database, functional GGA-PBE.

Properties
Energy of formation from the pure elements = -1.383 eV/atom
SG = P2_1/c, No. 14
Energy = -5.3942 eV per atom

The structure in POSCAR format:
```
TlAsO4
1.0
-4.308 -2.121 -0.006
0.975 -1.969 -4.289
5.665 -11.526 6.473
O Tl As
16 4 4
direct
0.837 0.446 0.305
0.163 0.554 0.695
0.721 0.033 0.941
0.289 0.043 0.807
0.756 0.544 0.556
0.663 0.446 0.805
0.244 0.456 0.444
0.744 0.544 0.056
0.337 0.554 0.195
0.779 0.033 0.441
0.211 0.043 0.307
0.221 0.967 0.559
0.256 0.456 0.944
0.279 0.967 0.059
0.711 0.957 0.193
0.789 0.957 0.693
0.018 0.264 0.147
0.982 0.736 0.853
0.482 0.264 0.647
0.518 0.736 0.353
0.982 0.760 0.615
0.018 0.240 0.385
0.518 0.760 0.115
0.482 0.240 0.885
```

Entry 3:
A relaxed structure of TlAsO6. Source: the Materials Project database, functional GGA-PBE.

Properties
Energy of formation from the pure elements = -0.616 eV/atom
SG = Pbca, No. 61
Energy = -4.6894 eV per atom

The structure in POSCAR format:
```
TlAsO6
1.0
-2.796 5.783 6.321
-9.996 -0.629 -3.846
-2.058 -8.329 6.710
O As Tl
48 8 8
direct
0.240 0.816 0.678
0.954 0.190 0.199
0.721 0.400 0.642
0.187 0.059 0.974
0.313 0.059 0.474
0.760 0.184 0.322
0.015 0.330 0.982
0.922 0.574 0.780
0.721 0.900 0.858
0.985 0.170 0.482
0.454 0.810 0.301
0.046 0.310 0.699
0.422 0.926 0.780
0.546 0.690 0.801
0.687 0.941 0.526
0.760 0.684 0.178
0.954 0.690 0.301
0.221 0.600 0.858
0.740 0.684 0.678
0.187 0.559 0.526
0.279 0.600 0.358
0.485 0.330 0.482
0.985 0.670 0.018
0.422 0.426 0.720
0.279 0.100 0.142
0.078 0.426 0.220
0.221 0.100 0.642
0.485 0.830 0.018
0.813 0.441 0.474
0.260 0.316 0.322
0.515 0.170 0.982
0.779 0.400 0.142
0.578 0.574 0.280
0.578 0.074 0.220
0.260 0.816 0.178
0.922 0.074 0.720
0.454 0.310 0.199
0.078 0.926 0.280
0.779 0.900 0.358
0.740 0.184 0.822
0.687 0.441 0.974
0.313 0.559 0.026
0.546 0.190 0.699
0.813 0.941 0.026
0.240 0.316 0.822
0.046 0.810 0.801
0.515 0.670 0.518
0.015 0.830 0.518
0.042 0.163 0.631
0.958 0.337 0.131
0.042 0.663 0.869
0.958 0.837 0.369
0.458 0.163 0.131
0.458 0.663 0.369
0.542 0.337 0.631
0.542 0.837 0.869
0.358 0.624 0.674
0.858 0.876 0.674
0.642 0.376 0.326
0.142 0.124 0.326
0.642 0.876 0.174
0.358 0.124 0.826
0.858 0.376 0.826
0.142 0.624 0.174
```

Entry 4:
A relaxed structure of TlAsO4. Source: the Materials Project database, functional GGA-PBE.

Properties
Energy of formation from the pure elements = -1.412 eV/atom
SG = I4_1/a, No. 88
Energy = -5.4231 eV per atom

The structure in POSCAR format:
```
TlAsO4
1.0
-2.498 2.498 5.925
2.498 -2.498 5.925
2.498 2.498 -5.925
As O Tl
2 8 2
direct
0.750 0.250 0.500
0.000 0.000 0.000
0.672 0.079 0.906
0.173 0.766 0.094
0.577 0.484 0.406
0.921 0.827 0.593
0.234 0.328 0.407
0.516 0.922 0.093
0.078 0.171 0.594
0.829 0.423 0.907
0.500 0.500 0.000
0.250 0.750 0.500
```

Entry 5:
A relaxed structure of TmAs2O2. Source: the Materials Project database, functional GGA-PBE.

Properties
Energy of formation from the pure elements = -1.343 eV/atom
SG = I4_1/amd, No. 141
Energy = -5.8065 eV per atom

The structure in POSCAR format:
```
TmAs2O2
1.0
9.231 -2.442 3.657
-0.884 4.509 9.135
-6.690 -6.714 -3.836
As O Tm
8 8 4
direct
0.695 0.366 0.329
0.055 0.884 0.171
0.634 0.962 0.329
0.712 0.884 0.829
0.116 0.945 0.829
0.116 0.288 0.171
0.038 0.366 0.671
0.634 0.305 0.671
0.006 0.261 0.744
0.739 0.994 0.256
0.744 0.989 0.756
0.233 0.989 0.244
0.517 0.261 0.256
0.739 0.483 0.744
0.011 0.767 0.756
0.011 0.256 0.244
0.875 0.125 0.750
0.875 0.125 0.250
0.875 0.625 0.750
0.375 0.125 0.250
```

Entry 6:
A relaxed structure of UAs2O12. Source: the Materials Project database, functional GGA-PBE.

Properties
Energy of formation from the pure elements = -0.785 eV/atom
SG = I4_1/acd, No. 142
Energy = -6.1172 eV per atom

The structure in POSCAR format:
```
UAs2O12
1.0
10.949 0.000 0.000
0.000 10.949 0.000
-5.474 -5.474 16.032
O As U
96 16 8
direct
0.329 0.614 0.050
0.636 0.994 0.933
0.635 0.125 0.750
0.506 0.864 0.067
0.375 0.865 0.250
0.261 0.430 0.232
0.063 0.779 0.950
0.279 0.949 0.268
0.687 0.079 0.550
0.224 0.596 0.132
0.526 0.714 0.368
0.110 0.581 0.586
0.051 0.011 0.732
0.255 0.860 0.086
0.140 0.169 0.914
0.797 0.494 0.933
0.724 0.036 0.132
0.135 0.125 0.750
0.386 0.279 0.950
0.331 0.360 0.086
0.364 0.579 0.550
0.187 0.971 0.550
0.779 0.820 0.268
0.006 0.703 0.067
0.927 0.927 0.855
0.823 0.323 0.645
0.070 0.239 0.768
0.699 0.529 0.768
0.495 0.024 0.414
0.199 0.739 0.768
0.989 0.320 0.268
0.136 0.439 0.933
0.721 0.437 0.050
0.274 0.669 0.914
0.919 0.390 0.414
0.976 0.081 0.586
0.471 0.930 0.232
0.177 0.677 0.355
0.953 0.811 0.567
0.875 0.885 0.250
0.244 0.047 0.433
0.563 0.671 0.950
0.489 0.449 0.268
0.323 0.823 0.645
0.476 0.005 0.586
0.529 0.313 0.450
0.061 0.364 0.067
0.419 0.524 0.414
0.375 0.365 0.250
0.846 0.658 0.632
0.404 0.092 0.868
0.755 0.726 0.086
0.026 0.154 0.368
0.570 0.029 0.768
0.286 0.158 0.632
0.964 0.592 0.868
0.971 0.801 0.232
0.297 0.939 0.933
0.115 0.625 0.750
0.689 0.547 0.433
0.573 0.573 0.145
0.180 0.511 0.732
0.786 0.974 0.632
0.908 0.536 0.132
0.346 0.474 0.632
0.864 0.471 0.550
0.886 0.171 0.950
0.421 0.813 0.450
0.842 0.654 0.368
0.904 0.276 0.868
0.408 0.096 0.132
0.680 0.721 0.732
0.610 0.505 0.586
0.561 0.203 0.067
0.995 0.890 0.414
0.744 0.886 0.433
0.551 0.221 0.732
0.614 0.756 0.567
0.761 0.301 0.232
0.921 0.136 0.450
0.427 0.427 0.855
0.189 0.386 0.433
0.677 0.177 0.355
0.875 0.385 0.250
0.774 0.745 0.914
0.831 0.226 0.086
0.342 0.214 0.368
0.221 0.114 0.050
0.073 0.073 0.145
0.640 0.245 0.914
0.464 0.776 0.868
0.029 0.636 0.450
0.615 0.625 0.750
0.114 0.311 0.567
0.453 0.256 0.567
0.829 0.937 0.050
0.713 0.188 0.122
0.409 0.934 0.122
0.812 0.591 0.878
0.341 0.062 0.378
0.684 0.659 0.622
0.438 0.159 0.622
0.841 0.816 0.378
0.537 0.562 0.378
0.184 0.463 0.622
0.909 0.688 0.122
0.938 0.963 0.622
0.066 0.287 0.878
0.566 0.091 0.878
0.312 0.787 0.878
0.037 0.316 0.378
0.213 0.434 0.122
0.666 0.834 0.000
0.834 0.334 0.000
0.166 0.666 0.000
0.916 0.584 0.500
0.334 0.166 0.000
0.584 0.916 0.500
0.416 0.416 0.500
0.084 0.084 0.500
```

Entry 7:
A relaxed structure of YAs2O2. Source: the Materials Project database, functional GGA-PBE.

Properties
Energy of formation from the pure elements = -1.427 eV/atom
SG = I4_1/amd, No. 141
Energy = -6.2885 eV per atom

The structure in POSCAR format:
```
YAs2O2
1.0
-5.463 5.463 6.745
5.463 -5.463 6.745
5.463 5.463 -6.745
Y O As
4 8 8
direct
0.875 0.125 0.250
0.875 0.125 0.750
0.875 0.625 0.750
0.375 0.125 0.250
0.028 0.227 0.200
0.977 0.278 0.700
0.172 0.972 0.200
0.028 0.828 0.800
0.722 0.023 0.300
0.578 0.278 0.300
0.722 0.422 0.700
0.773 0.972 0.800
0.741 0.859 0.882
0.141 0.259 0.118
0.773 0.391 0.382
0.609 0.227 0.618
0.141 0.023 0.882
0.609 0.991 0.382
0.009 0.391 0.618
0.977 0.859 0.118
```

Entry 8:
A relaxed structure of Y2ZnAs2O. Source: the Materials Project database, functional GGA-PBE.

Properties
Energy of formation from the pure elements = -0.488 eV/atom
SG = P4/mmm, No. 123
Energy = -5.1165 eV per atom

The structure in POSCAR format:
```
Y2ZnAs2O
1.0
3.326 0.000 0.000
0.000 3.326 0.000
0.000 0.000 14.684
Y Zn As O
2 1 2 1
direct
0.500 0.500 0.363
0.500 0.500 0.637
0.500 0.500 0.000
0.500 0.500 0.841
0.500 0.500 0.159
0.500 0.500 0.500
```

Entry 9:
A relaxed structure of Zn2AsO6. Source: the Materials Project database, functional GGA-PBE.

Properties
Energy of formation from the pure elements = -1.060 eV/atom
SG = P2_1/c, No. 14
Energy = -5.0485 eV per atom

The structure in POSCAR format:
```
Zn2AsO6
1.0
-5.262 -2.650 -5.430
7.833 -1.697 -6.762
4.284 -12.875 2.133
O Zn As
48 16 8
direct
0.812 0.504 0.901
0.139 0.478 0.447
0.834 0.924 0.142
0.210 0.822 0.639
0.784 0.657 0.154
0.861 0.522 0.553
0.290 0.322 0.639
0.147 0.558 0.636
0.216 0.343 0.846
0.437 0.504 0.272
0.117 0.273 0.341
0.563 0.496 0.728
0.383 0.773 0.341
0.542 0.771 0.732
0.284 0.843 0.846
0.447 0.270 0.470
0.958 0.271 0.732
0.353 0.058 0.636
0.063 0.004 0.272
0.567 0.723 0.944
0.361 0.978 0.447
0.710 0.678 0.361
0.312 0.996 0.099
0.433 0.277 0.056
0.166 0.076 0.858
0.334 0.576 0.858
0.042 0.729 0.268
0.553 0.062 0.881
0.053 0.770 0.470
0.053 0.438 0.119
0.933 0.223 0.944
0.853 0.442 0.364
0.617 0.227 0.659
0.883 0.727 0.659
0.447 0.938 0.119
0.647 0.942 0.364
0.716 0.157 0.154
0.937 0.996 0.728
0.666 0.424 0.142
0.790 0.178 0.361
0.188 0.496 0.099
0.458 0.229 0.268
0.947 0.230 0.530
0.553 0.730 0.530
0.688 0.004 0.901
0.639 0.022 0.553
0.067 0.777 0.056
0.947 0.562 0.881
0.210 0.893 0.370
0.710 0.607 0.630
0.333 0.460 0.716
0.836 0.096 0.050
0.664 0.596 0.050
0.960 0.623 0.408
0.336 0.404 0.950
0.167 0.960 0.716
0.540 0.123 0.408
0.833 0.040 0.284
0.290 0.393 0.370
0.790 0.107 0.630
0.164 0.904 0.950
0.667 0.540 0.284
0.040 0.377 0.592
0.460 0.877 0.592
0.071 0.720 0.602
0.437 0.725 0.844
0.563 0.275 0.156
0.937 0.775 0.156
0.929 0.280 0.398
0.571 0.780 0.398
0.063 0.225 0.844
0.429 0.220 0.602
```

Repeat the second record exactly.
A relaxed structure of TlAsO4. Source: the Materials Project database, functional GGA-PBE.

Properties
Energy of formation from the pure elements = -1.383 eV/atom
SG = P2_1/c, No. 14
Energy = -5.3942 eV per atom

The structure in POSCAR format:
```
TlAsO4
1.0
-4.308 -2.121 -0.006
0.975 -1.969 -4.289
5.665 -11.526 6.473
O Tl As
16 4 4
direct
0.837 0.446 0.305
0.163 0.554 0.695
0.721 0.033 0.941
0.289 0.043 0.807
0.756 0.544 0.556
0.663 0.446 0.805
0.244 0.456 0.444
0.744 0.544 0.056
0.337 0.554 0.195
0.779 0.033 0.441
0.211 0.043 0.307
0.221 0.967 0.559
0.256 0.456 0.944
0.279 0.967 0.059
0.711 0.957 0.193
0.789 0.957 0.693
0.018 0.264 0.147
0.982 0.736 0.853
0.482 0.264 0.647
0.518 0.736 0.353
0.982 0.760 0.615
0.018 0.240 0.385
0.518 0.760 0.115
0.482 0.240 0.885
```